1.
VASP calculation (GGA+U) on an optimized crystal structure of Li5V3CrO8.

```
data_Li5V3CrO8
_symmetry_space_group_name_H-M 'P 1'
_symmetry_Int_Tables_number 1
_symmetry_space_group_name_Hall 'P 1'
_cell_length_a 6.022
_cell_length_b 6.022
_cell_length_c 9.923
_cell_angle_alpha 89.84
_cell_angle_beta 89.84
_cell_angle_gamma 120.58
loop_
_atom_site_label
_atom_site_type_symbol
_atom_site_fract_x
_atom_site_fract_y
_atom_site_fract_z
_atom_site_occupancy
Li1 Li 0.209 0.818 0.058 1
Li2 Li 0.347 0.683 0.274 1
Li3 Li 0.209 0.406 0.055 1
Li4 Li 0.015 0.015 0.487 1
Li5 Li 0.015 0.015 0.987 1
Li6 Li 0.406 0.209 0.555 1
Li7 Li 0.624 0.819 0.058 1
Li8 Li 0.819 0.624 0.558 1
Li9 Li 0.683 0.347 0.774 1
Li10 Li 0.818 0.209 0.558 1
O1 O 0.035 0.524 0.659 1
O2 O 0.350 0.181 0.911 1
O3 O 0.018 0.023 0.177 1
O4 O 0.496 0.992 0.660 1
O5 O 0.519 0.497 0.158 1
O6 O 0.023 0.018 0.677 1
O7 O 0.332 0.674 0.907 1
O8 O 0.497 0.519 0.658 1
O9 O 0.181 0.350 0.411 1
O10 O 0.682 0.856 0.411 1
O11 O 0.992 0.496 0.160 1
O12 O 0.856 0.682 0.911 1
O13 O 0.186 0.856 0.411 1
O14 O 0.856 0.186 0.911 1
O15 O 0.524 0.035 0.159 1
O16 O 0.674 0.332 0.407 1
V1 V 0.188 0.354 0.787 1
V2 V 0.841 0.672 0.289 1
V3 V 0.672 0.841 0.789 1
V4 V 0.354 0.188 0.287 1
V5 V 0.846 0.186 0.287 1
V6 V 0.186 0.846 0.787 1
Cr1 Cr 0.346 0.682 0.527 1
Cr2 Cr 0.682 0.346 0.027 1
```

Properties
The MP2020-corrected energy is -7.353 eV per atom. The value obtained for the formation energy from the elements is -2.29 eV per atom. The symmetry is Cc, No. 9. Its energy above the most stable polymorph in this dataset is 0.0 meV per atom.

2.
VASP calculation (GGA+U) on an optimized crystal structure of Li5Mn2CrO8.

```
data_Li5Mn2CrO8
_symmetry_space_group_name_H-M 'P 1'
_symmetry_Int_Tables_number 1
_symmetry_space_group_name_Hall 'P 1'
_cell_length_a 5.812
_cell_length_b 10.147
_cell_length_c 5.831
_cell_angle_alpha 73.77
_cell_angle_beta 119.89
_cell_angle_gamma 90.00
loop_
_atom_site_label
_atom_site_type_symbol
_atom_site_fract_x
_atom_site_fract_y
_atom_site_fract_z
_atom_site_occupancy
O1 O 0.385 0.862 0.769 1
O2 O 0.136 0.637 0.757 1
O3 O 0.389 0.361 0.777 1
O4 O 0.889 0.861 0.777 1
O5 O 0.636 0.137 0.757 1
O6 O 0.121 0.137 0.757 1
O7 O 0.879 0.863 0.243 1
O8 O 0.885 0.362 0.769 1
O9 O 0.364 0.863 0.243 1
O10 O 0.864 0.363 0.243 1
O11 O 0.111 0.139 0.223 1
O12 O 0.611 0.639 0.223 1
O13 O 0.379 0.363 0.243 1
O14 O 0.115 0.638 0.231 1
O15 O 0.621 0.637 0.757 1
O16 O 0.615 0.138 0.231 1
Li1 Li 0.750 0.750 0.500 1
Li2 Li 0.500 0.500 0.000 1
Li3 Li 0.000 0.500 0.000 1
Li4 Li 0.250 0.250 0.500 1
Li5 Li 0.000 0.500 0.500 1
Li6 Li 0.500 0.000 0.500 1
Li7 Li 0.500 0.000 0.000 1
Li8 Li 0.000 0.000 0.000 1
Li9 Li 0.500 0.500 0.500 1
Li10 Li 0.000 0.000 0.500 1
Mn1 Mn 0.750 0.250 0.000 1
Mn2 Mn 0.250 0.250 0.000 1
Mn3 Mn 0.250 0.750 0.000 1
Mn4 Mn 0.750 0.750 0.000 1
Cr1 Cr 0.250 0.750 0.500 1
Cr2 Cr 0.750 0.250 0.500 1
```

Properties
The MP2020-corrected energy is -7.008 eV per atom. The value obtained for the formation energy from the elements is -2.19 eV per atom.

3.
VASP calculation (GGA+U) on an optimized crystal structure of Li7MgNi7O16.

```
data_Li7MgNi7O16
_symmetry_space_group_name_H-M 'P 1'
_symmetry_Int_Tables_number 1
_symmetry_space_group_name_Hall 'P 1'
_cell_length_a 7.577
_cell_length_b 7.577
_cell_length_c 4.996
_cell_angle_alpha 77.39
_cell_angle_beta 77.39
_cell_angle_gamma 98.37
loop_
_atom_site_label
_atom_site_type_symbol
_atom_site_fract_x
_atom_site_fract_y
_atom_site_fract_z
_atom_site_occupancy
Li1 Li 0.240 0.244 0.528 1
Li2 Li 0.998 0.497 0.499 1
Li3 Li 0.503 0.002 0.501 1
Li4 Li 0.622 0.378 0.500 1
Li5 Li 0.881 0.119 0.500 1
Li6 Li 0.379 0.621 0.500 1
Li7 Li 0.756 0.760 0.472 1
O1 O 0.264 0.977 0.761 1
O2 O 0.127 0.636 0.774 1
O3 O 0.733 0.015 0.227 1
O4 O 0.635 0.637 0.235 1
O5 O 0.516 0.262 0.218 1
O6 O 0.873 0.380 0.213 1
O7 O 0.865 0.850 0.750 1
O8 O 0.620 0.127 0.787 1
O9 O 0.363 0.365 0.765 1
O10 O 0.023 0.736 0.239 1
O11 O 0.364 0.873 0.226 1
O12 O 0.494 0.744 0.791 1
O13 O 0.150 0.135 0.250 1
O14 O 0.738 0.484 0.782 1
O15 O 0.256 0.506 0.209 1
O16 O 0.985 0.267 0.773 1
Ni1 Ni 0.876 0.631 0.999 1
Ni2 Ni 0.630 0.878 0.002 1
Ni3 Ni 0.369 0.124 0.001 1
Ni4 Ni 0.501 0.499 0.000 1
Ni5 Ni 0.250 0.750 0.000 1
Ni6 Ni 0.749 0.251 0.000 1
Ni7 Ni 0.122 0.370 0.998 1
Mg1 Mg 0.118 0.882 0.500 1
```

Properties
The MP2020-corrected energy is -5.835 eV per atom. The value obtained for the formation energy from the elements is -1.49 eV per atom. The symmetry is C2, No. 5. Its energy above the most stable polymorph in this dataset is 40.5 meV per atom.

4.
VASP calculation (GGA+U) on an optimized crystal structure of CuMoO4.

```
data_CuMoO4
_symmetry_space_group_name_H-M 'P 1'
_symmetry_Int_Tables_number 1
_symmetry_space_group_name_Hall 'P 1'
_cell_length_a 8.889
_cell_length_b 6.695
_cell_length_c 12.134
_cell_angle_alpha 89.82
_cell_angle_beta 90.00
_cell_angle_gamma 90.00
loop_
_atom_site_label
_atom_site_type_symbol
_atom_site_fract_x
_atom_site_fract_y
_atom_site_fract_z
_atom_site_occupancy
O1 O 0.261 0.416 0.388 1
O2 O 0.074 0.090 0.409 1
O3 O 0.745 0.959 0.876 1
O4 O 0.626 0.315 0.785 1
O5 O 0.378 0.793 0.456 1
O6 O 0.874 0.315 0.285 1
O7 O 0.485 0.126 0.286 1
O8 O 0.502 0.650 0.915 1
O9 O 0.126 0.685 0.715 1
O10 O 0.878 0.207 0.044 1
O11 O 0.515 0.874 0.714 1
O12 O 0.239 0.416 0.888 1
O13 O 0.998 0.650 0.415 1
O14 O 0.498 0.350 0.085 1
O15 O 0.588 0.486 0.374 1
O16 O 0.374 0.685 0.215 1
O17 O 0.755 0.959 0.376 1
O18 O 0.412 0.514 0.626 1
O19 O 0.912 0.486 0.874 1
O20 O 0.122 0.793 0.956 1
O21 O 0.255 0.041 0.124 1
O22 O 0.426 0.090 0.909 1
O23 O 0.622 0.207 0.544 1
O24 O 0.985 0.874 0.214 1
O25 O 0.739 0.584 0.612 1
O26 O 0.245 0.041 0.624 1
O27 O 0.088 0.514 0.126 1
O28 O 0.761 0.584 0.112 1
O29 O 0.015 0.126 0.786 1
O30 O 0.926 0.910 0.591 1
O31 O 0.574 0.910 0.091 1
O32 O 0.002 0.350 0.585 1
Cu1 Cu 0.455 0.373 0.886 1
Cu2 Cu 0.340 0.784 0.621 1
Cu3 Cu 0.660 0.216 0.379 1
Cu4 Cu 0.045 0.373 0.386 1
Cu5 Cu 0.545 0.627 0.114 1
Cu6 Cu 0.955 0.627 0.614 1
Cu7 Cu 0.160 0.784 0.121 1
Cu8 Cu 0.840 0.216 0.879 1
Mo1 Mo 0.098 0.596 0.859 1
Mo2 Mo 0.402 0.596 0.359 1
Mo3 Mo 0.598 0.404 0.641 1
Mo4 Mo 0.902 0.404 0.141 1
Mo5 Mo 0.950 0.895 0.357 1
Mo6 Mo 0.050 0.105 0.643 1
Mo7 Mo 0.450 0.105 0.143 1
Mo8 Mo 0.550 0.895 0.857 1
```

Properties
The MP2020-corrected energy is -7.322 eV per atom. The value obtained for the formation energy from the elements is -1.53 eV per atom. The symmetry is P2_1/c, No. 14. Its energy above the most stable polymorph in this dataset is 44.7 meV per atom.